(1)
DFT (PBE) results for a relaxed structure of NaMgPH18O13.

Results
- Energy relative to the elements: -5207 kJ/mol of formula units
- Total magnetic moment: 0.00 μB/cell

a b c (Å): 7.033 12.123 14.941
angles (deg): 91.51 103.96 106.50
Sites, in units of the cell vectors:
O: 0.393 0.989 0.351
O: 0.315 0.196 0.970
O: 0.414 0.956 0.887
O: 0.744 0.008 0.483
O: 0.951 0.987 0.351
O: 0.039 0.786 0.268
O: 0.607 0.011 0.649
O: 0.460 0.278 0.667
O: 0.210 0.455 0.884
O: 0.893 0.788 0.623
O: 0.256 0.992 0.517
O: 0.917 0.959 0.878
O: 0.049 0.013 0.649
O: 0.195 0.697 0.690
O: 0.327 0.771 0.446
O: 0.467 0.212 0.370
O: 0.680 0.515 0.292
O: 0.212 0.245 0.227
O: 0.150 0.798 0.030
O: 0.277 0.708 0.181
O: 0.433 0.103 0.760
O: 0.763 0.503 0.503
O: 0.673 0.229 0.554
O: 0.914 0.773 0.444
O: 0.237 0.497 0.497
O: 0.642 0.718 0.182
O: 0.805 0.303 0.310
O: 0.567 0.897 0.240
O: 0.757 0.494 0.937
O: 0.850 0.202 0.970
O: 0.086 0.227 0.556
O: 0.107 0.212 0.377
O: 0.533 0.788 0.630
O: 0.626 0.600 0.636
O: 0.320 0.485 0.708
O: 0.961 0.214 0.732
O: 0.243 0.506 0.063
O: 0.788 0.755 0.773
O: 0.540 0.722 0.333
O: 0.723 0.292 0.819
O: 0.057 0.660 0.868
O: 0.685 0.804 0.030
O: 0.943 0.340 0.132
O: 0.586 0.044 0.113
O: 0.374 0.400 0.364
O: 0.514 0.308 0.140
O: 0.083 0.041 0.122
O: 0.790 0.545 0.116
O: 0.486 0.692 0.860
O: 0.105 0.520 0.280
O: 0.358 0.282 0.818
O: 0.895 0.480 0.720
H: 0.175 0.584 0.248
H: 0.958 0.699 0.829
H: 0.681 0.265 0.332
H: 0.446 0.282 0.074
H: 0.733 0.418 0.902
H: 0.901 0.780 0.509
H: 0.856 0.284 0.079
H: 0.719 0.546 0.547
H: 0.401 0.287 0.173
H: 0.551 0.041 0.698
H: 0.410 0.752 0.405
H: 0.412 0.779 0.512
H: 0.183 0.040 0.697
H: 0.042 0.301 0.171
H: 0.144 0.716 0.921
H: 0.299 0.407 0.878
H: 0.634 0.457 0.459
H: 0.209 0.481 0.309
H: 0.170 0.003 0.558
H: 0.791 0.519 0.691
H: 0.867 0.884 0.836
H: 0.167 0.185 0.955
H: 0.231 0.244 0.597
H: 0.930 0.018 0.836
H: 0.353 0.414 0.727
H: 0.988 0.256 0.992
H: 0.228 0.476 0.952
H: 0.648 0.772 0.088
H: 0.010 0.074 0.354
H: 0.554 0.718 0.926
H: 0.267 0.582 0.098
H: 0.577 0.985 0.159
H: 0.133 0.116 0.164
H: 0.990 0.926 0.646
H: 0.352 0.228 0.912
H: 0.915 0.267 0.337
H: 0.864 0.547 0.914
H: 0.634 0.119 0.150
H: 0.880 0.245 0.767
H: 0.120 0.755 0.233
H: 0.890 0.758 0.234
H: 0.701 0.593 0.122
H: 0.830 0.997 0.442
H: 0.319 0.735 0.668
H: 0.599 0.713 0.827
H: 0.070 0.982 0.164
H: 0.588 0.221 0.488
H: 0.281 0.454 0.453
H: 0.366 0.881 0.850
H: 0.772 0.524 0.048
H: 0.833 0.815 0.045
H: 0.563 0.472 0.318
H: 0.449 0.959 0.302
H: 0.825 0.416 0.752
H: 0.395 0.005 0.560
H: 0.418 0.076 0.351
H: 0.110 0.242 0.766
H: 0.817 0.960 0.303
H: 0.210 0.766 0.090
H: 0.790 0.234 0.910
H: 0.136 0.453 0.086
H: 0.012 0.744 0.008
H: 0.582 0.924 0.649
H: 0.085 0.733 0.663
H: 0.769 0.756 0.403
H: 0.366 0.543 0.541
H: 0.605 0.995 0.440
H: 0.423 0.015 0.841
H: 0.590 0.248 0.595
H: 0.099 0.220 0.491
H: 0.437 0.528 0.682
H: 0.647 0.586 0.273
P: 0.290 0.267 0.335
P: 0.492 0.237 0.764
P: 0.508 0.763 0.236
P: 0.710 0.733 0.665
Mg: 0.798 0.420 0.210
Mg: 0.149 0.884 0.396
Mg: 0.851 0.116 0.604
Mg: 0.202 0.580 0.790
Na: 0.743 0.003 0.997
Na: 0.257 0.997 0.003
Na: 0.987 0.400 0.581
Na: 0.013 0.600 0.419



(2)
DFT (PBE) results for a relaxed structure of ThPt3.

Results
- Energy relative to the elements: -415 kJ/mol of formula units

a b c (Å): 4.241 4.241 4.241
angles (deg): 90.00 90.00 90.00
Sites, in units of the cell vectors:
Pt: 0.500 0.000 0.500
Pt: 0.500 0.500 0.000
Pt: 0.000 0.500 0.500
Th: 0.000 0.000 0.000



> Look up the energy relative to the elements of the second one.

-415 kJ/mol of formula units



> What is the energy relative to the elements in the first record?

-5207 kJ/mol of formula units